The following is a DFT calculation (PBE with a Hubbard U) of Li9Mn2Co5O16 after structural relaxation.

The structure in CIF format:
```
data_Li9Mn2Co5O16
_symmetry_space_group_name_H-M 'P 1'
_symmetry_Int_Tables_number 1
_cell_length_a 2.9564
_cell_length_b 5.1011
_cell_length_c 19.2505
_cell_angle_alpha 93.64
_cell_angle_beta 93.31
_cell_angle_gamma 91.37
loop_
_symmetry_equiv_pos_as_xyz
'x,y,z'
loop_
_atom_site_label
_atom_site_type_symbol
_atom_site_fract_x
_atom_site_fract_y
_atom_site_fract_z
_atom_site_occupancy
Li1 Li 0.0000 0.0000 0.0000 1
Li2 Li 0.0020 0.5059 0.5009 1
Li3 Li 0.0078 0.2462 0.7493 1
Li4 Li 0.0137 0.7274 0.2480 1
Li5 Li 0.4914 0.2635 0.2500 1
Li6 Li 0.4955 0.8736 0.1238 1
Li7 Li 0.5038 0.3714 0.6246 1
Li8 Li 0.5053 0.1242 0.8758 1
Li9 Li 0.5123 0.6157 0.3701 1
Mn1 Mn 0.0121 0.1283 0.3694 1
Mn2 Mn 0.5119 0.9943 0.4996 1
Co1 Co 0.0196 0.6132 0.8755 1
Co2 Co 0.5071 0.4885 0.0000 1
Co3 Co 0.5075 0.7542 0.7499 1
Co4 Co 0.9918 0.8758 0.6254 1
Co5 Co 0.9956 0.3699 0.1281 1
O1 O 0.0020 0.5919 0.6882 1
O2 O 0.0037 0.0948 0.1765 1
O3 O 0.0072 0.9168 0.8088 1
O4 O 0.0398 0.3174 0.9398 1
O5 O 0.0449 0.8323 0.4367 1
O6 O 0.4605 0.0489 0.6841 1
O7 O 0.4686 0.5552 0.1808 1
O8 O 0.4881 0.9593 0.3181 1
O9 O 0.5047 0.7777 0.9372 1
O10 O 0.5215 0.4510 0.8149 1
O11 O 0.5246 0.2105 0.0618 1
O12 O 0.5310 0.6993 0.5632 1
O13 O 0.5358 0.2791 0.4316 1
O14 O 0.9716 0.6474 0.0621 1
O15 O 0.9782 0.1641 0.5631 1
O16 O 0.9993 0.4147 0.3168 1
```

Properties
ΔE to the lowest computed polymorph: 1.82 eV per formula unit
ΔH_f (0 K): -1807 meV per atom
Mass density: 4.15 g/cm3


The following is a DFT calculation (PBE with a Hubbard U) of MgFeHO2 after structural relaxation.

The structure in CIF format:
```
data_MgFeHO2
_symmetry_space_group_name_H-M 'P 3 m 1'
_symmetry_Int_Tables_number 156
_cell_length_a 3.1478
_cell_length_b 3.1478
_cell_length_c 7.0616
_cell_angle_alpha 90.00
_cell_angle_beta 90.00
_cell_angle_gamma 120.00
loop_
_symmetry_equiv_pos_as_xyz
'x,y,z'
'-y,x-y,z'
'-x+y,-x,z'
'-y,-x,z'
'-x+y,y,z'
'x,x-y,z'
loop_
_atom_site_label
_atom_site_type_symbol
_atom_site_fract_x
_atom_site_fract_y
_atom_site_fract_z
_atom_site_occupancy
Mg1 Mg 0.0000 0.0000 0.0000 1
Fe1 Fe 0.0000 0.0000 0.6356 1
H1 H 0.6667 0.3333 0.3587 1
O1 O 0.3333 0.6667 0.8425 1
O2 O 0.6667 0.3333 0.4987 1
```

Properties
ΔE to the lowest computed polymorph: 0.20 eV per formula unit
ΔH_f (0 K): -1383 meV per atom
Mass density: 3.10 g/cm3


The following is a DFT calculation (PBE with a Hubbard U) of Li4MnNi5O12 after structural relaxation.

The structure in CIF format:
```
data_Li4MnNi5O12
_symmetry_space_group_name_H-M 'C 1 2 1'
_symmetry_Int_Tables_number 5
_cell_length_a 5.0914
_cell_length_b 8.4666
_cell_length_c 9.9886
_cell_angle_alpha 90.00
_cell_angle_beta 92.03
_cell_angle_gamma 90.00
loop_
_symmetry_equiv_pos_as_xyz
'x,y,z'
'-x,y,-z'
'x+1/2,y+1/2,z'
'-x+1/2,y+1/2,-z'
loop_
_atom_site_label
_atom_site_type_symbol
_atom_site_fract_x
_atom_site_fract_y
_atom_site_fract_z
_atom_site_occupancy
Li1 Li 0.0983 0.0000 0.2507 1
Li2 Li 0.0984 0.4949 0.2506 1
Mn1 Mn 0.0000 0.2475 0.5000 1
Ni1 Ni 0.0000 0.0834 0.0000 1
Ni2 Ni 0.0000 0.4114 0.0000 1
Ni3 Ni 0.0000 0.5830 0.5000 1
Ni4 Ni 0.0000 0.7475 0.0000 1
Ni5 Ni 0.0000 0.9120 0.5000 1
O1 O 0.1478 0.0776 0.6083 1
O2 O 0.1476 0.4173 0.6083 1
O3 O 0.1515 0.9200 0.8965 1
O4 O 0.1536 0.5749 0.8967 1
O5 O 0.1702 0.2475 0.9052 1
O6 O 0.1788 0.7475 0.5955 1
```

Properties
ΔE to the lowest computed polymorph: 0.16 eV per formula unit
ΔH_f (0 K): -1410 meV per atom
Mass density: 4.38 g/cm3


The following is a DFT calculation (PBE with a Hubbard U) of Li6V3P8O29 after structural relaxation.

The structure in CIF format:
```
data_Li6V3P8O29
_symmetry_space_group_name_H-M 'P 1'
_symmetry_Int_Tables_number 1
_cell_length_a 9.7894
_cell_length_b 9.8018
_cell_length_c 13.9646
_cell_angle_alpha 89.66
_cell_angle_beta 89.56
_cell_angle_gamma 60.24
loop_
_symmetry_equiv_pos_as_xyz
'x,y,z'
loop_
_atom_site_label
_atom_site_type_symbol
_atom_site_fract_x
_atom_site_fract_y
_atom_site_fract_z
_atom_site_occupancy
Li1 Li 0.0000 0.0000 0.0000 1
Li2 Li 0.0046 0.4390 0.5068 1
Li3 Li 0.1284 0.6842 0.0637 1
Li4 Li 0.1949 0.3300 0.1216 1
Li5 Li 0.3218 0.3551 0.6266 1
Li6 Li 0.4110 0.5755 0.5018 1
Li7 Li 0.4251 0.9932 0.4526 1
Li8 Li 0.4356 0.4294 0.0011 1
Li9 Li 0.7651 0.9005 0.1223 1
Li10 Li 0.7870 0.7511 0.6264 1
Li11 Li 0.8623 0.5658 0.0023 1
Li12 Li 0.8738 0.9804 0.5084 1
V1 V 0.0953 0.2268 0.3113 1
V2 V 0.0974 0.0947 0.8104 1
V3 V 0.5257 0.6650 0.3084 1
V4 V 0.5308 0.2305 0.8138 1
V5 V 0.6592 0.6623 0.8147 1
V6 V 0.6615 0.0975 0.3140 1
P1 P 0.0088 0.4329 0.7219 1
P2 P 0.0120 0.9741 0.2162 1
P3 P 0.1832 0.3472 0.9050 1
P4 P 0.1846 0.8904 0.4011 1
P5 P 0.3170 0.7475 0.9018 1
P6 P 0.3249 0.3424 0.4065 1
P7 P 0.4120 0.4341 0.2216 1
P8 P 0.4155 0.5766 0.7176 1
P9 P 0.4294 0.0001 0.1931 1
P10 P 0.4330 0.9954 0.6932 1
P11 P 0.7613 0.3312 0.4334 1
P12 P 0.7638 0.3309 0.9356 1
P13 P 0.7749 0.7532 0.4065 1
P14 P 0.7823 0.8899 0.9064 1
P15 P 0.8662 0.9844 0.7229 1
P16 P 0.8691 0.5791 0.2208 1
O1 O 0.0100 0.0075 0.7235 1
O2 O 0.0109 0.1310 0.2288 1
O3 O 0.0144 0.4137 0.2208 1
O4 O 0.0851 0.8896 0.1242 1
O5 O 0.0856 0.9033 0.4850 1
O6 O 0.0972 0.4379 0.9938 1
O7 O 0.1009 0.4179 0.6318 1
O8 O 0.1016 0.4533 0.8116 1
O9 O 0.1112 0.8640 0.3044 1
O10 O 0.1732 0.3320 0.4090 1
O11 O 0.1755 0.9170 0.9029 1
O12 O 0.1828 0.1919 0.8934 1
O13 O 0.2086 0.0359 0.3876 1
O14 O 0.2831 0.1568 0.2342 1
O15 O 0.2878 0.9926 0.7367 1
O16 O 0.2971 0.6731 0.8038 1
O17 O 0.3038 0.6532 0.9831 1
O18 O 0.3056 0.4522 0.3150 1
O19 O 0.3202 0.4416 0.1329 1
O20 O 0.3466 0.6547 0.6252 1
O21 O 0.3480 0.4155 0.4948 1
O22 O 0.3518 0.7428 0.4035 1
O23 O 0.3531 0.3210 0.9044 1
O24 O 0.4191 0.8596 0.2366 1
O25 O 0.4288 0.1486 0.7305 1
O26 O 0.4313 0.4102 0.7251 1
O27 O 0.4335 0.0097 0.0867 1
O28 O 0.4383 0.9944 0.5858 1
O29 O 0.4386 0.5762 0.2254 1
O30 O 0.4658 0.1747 0.3883 1
O31 O 0.4742 0.7473 0.8958 1
O32 O 0.5675 0.2793 0.2314 1
O33 O 0.5771 0.5616 0.7394 1
O34 O 0.5848 0.9910 0.2357 1
O35 O 0.5856 0.8467 0.7335 1
O36 O 0.6078 0.3427 0.8973 1
O37 O 0.6095 0.7735 0.3889 1
O38 O 0.6128 0.4781 0.3934 1
O39 O 0.6260 0.0423 0.8935 1
O40 O 0.7160 0.1446 0.7424 1
O41 O 0.7161 0.5746 0.2359 1
O42 O 0.7595 0.1810 0.3923 1
O43 O 0.7599 0.9173 0.4100 1
O44 O 0.7615 0.7445 0.9066 1
O45 O 0.7645 0.3381 0.0425 1
O46 O 0.7710 0.3260 0.5397 1
O47 O 0.7745 0.4764 0.8926 1
O48 O 0.8447 0.9967 0.2257 1
O49 O 0.8470 0.5827 0.7220 1
O50 O 0.8499 0.9096 0.6337 1
O51 O 0.8514 0.6587 0.4952 1
O52 O 0.8682 0.6685 0.1319 1
O53 O 0.8739 0.8887 0.9940 1
O54 O 0.8856 0.6672 0.3146 1
O55 O 0.8887 0.8706 0.8124 1
O56 O 0.9076 0.1756 0.8960 1
O57 O 0.9134 0.3264 0.3877 1
O58 O 0.9928 0.2872 0.7416 1
```

Properties
ΔE to the lowest computed polymorph: 0.20 eV per formula unit
ΔH_f (0 K): -2658 meV per atom
Mass density: 2.59 g/cm3


The following is a DFT calculation (PBE with a Hubbard U) of MnO3F after structural relaxation.

The structure in CIF format:
```
data_MnO3F
_symmetry_space_group_name_H-M 'C 1 c 1'
_symmetry_Int_Tables_number 9
_cell_length_a 9.8689
_cell_length_b 4.6568
_cell_length_c 9.0132
_cell_angle_alpha 90.00
_cell_angle_beta 117.53
_cell_angle_gamma 90.00
loop_
_symmetry_equiv_pos_as_xyz
'x,y,z'
'x,-y,z+1/2'
'x+1/2,y+1/2,z'
'x+1/2,-y+1/2,z+1/2'
loop_
_atom_site_label
_atom_site_type_symbol
_atom_site_fract_x
_atom_site_fract_y
_atom_site_fract_z
_atom_site_occupancy
Mn1 Mn 0.0000 0.2328 0.0000 1
O1 O 0.1039 0.0374 0.1551 1
O2 O 0.1039 0.4310 0.9516 1
O3 O 0.3945 0.4630 0.3459 1
F1 F 0.3863 0.0545 0.5530 1
```

Properties
ΔH_f (0 K): -1126 meV per atom
Mass density: 2.20 g/cm3


The following is a DFT calculation (PBE with a Hubbard U) of MgFe8O8F8 after structural relaxation.

The structure in CIF format:
```
data_MgFe8O8F8
_symmetry_space_group_name_H-M 'P 1'
_symmetry_Int_Tables_number 1
_cell_length_a 3.0904
_cell_length_b 9.7272
_cell_length_c 9.8266
_cell_angle_alpha 89.01
_cell_angle_beta 89.77
_cell_angle_gamma 89.70
loop_
_symmetry_equiv_pos_as_xyz
'x,y,z'
loop_
_atom_site_label
_atom_site_type_symbol
_atom_site_fract_x
_atom_site_fract_y
_atom_site_fract_z
_atom_site_occupancy
Mg1 Mg 0.0000 0.0000 0.0000 1
Fe1 Fe 0.0002 0.7633 0.5081 1
Fe2 Fe 0.4790 0.5007 0.2478 1
Fe3 Fe 0.4797 0.4830 0.7420 1
Fe4 Fe 0.4982 0.9913 0.7354 1
Fe5 Fe 0.4994 0.9914 0.3004 1
Fe6 Fe 0.9700 0.7132 0.9464 1
Fe7 Fe 0.9825 0.2672 0.9697 1
Fe8 Fe 0.9922 0.2229 0.5047 1
O1 O 0.0004 0.8849 0.3480 1
O2 O 0.4750 0.6258 0.8784 1
O3 O 0.4953 0.1443 0.4125 1
O4 O 0.4960 0.1165 0.9270 1
O5 O 0.4975 0.8422 0.5952 1
O6 O 0.9804 0.3911 0.8098 1
O7 O 0.9962 0.0959 0.6576 1
O8 O 0.9957 0.8812 0.8415 1
F1 F 0.4700 0.3602 0.0930 1
F2 F 0.4866 0.3489 0.5773 1
F3 F 0.4922 0.6457 0.4027 1
F4 F 0.5122 0.8680 0.0790 1
F5 F 0.9782 0.6159 0.1324 1
F6 F 0.9818 0.3913 0.3485 1
F7 F 0.9871 0.5896 0.6304 1
F8 F 0.9990 0.0864 0.1781 1
```

Properties
ΔE to the lowest computed polymorph: 0.29 eV per formula unit
ΔH_f (0 K): -2119 meV per atom
Mass density: 4.22 g/cm3


The following is a DFT calculation (PBE with a Hubbard U) of Ti4Ni15O24 after structural relaxation.

The structure in CIF format:
```
data_Ti4Ni15O24
_symmetry_space_group_name_H-M 'P -3 m 1'
_symmetry_Int_Tables_number 164
_symmetry_space_group_name_Hall '-P 3 2"'
_cell_length_a 5.9518
_cell_length_b 5.9518
_cell_length_c 14.5042
_cell_angle_alpha 90.00
_cell_angle_beta 90.00
_cell_angle_gamma 120.00
loop_
_atom_site_label
_atom_site_type_symbol
_atom_site_fract_x
_atom_site_fract_y
_atom_site_fract_z
_atom_site_occupancy
Ti1 Ti 0.0000 0.0000 0.1240 1
Ti2 Ti 0.3333 0.6667 0.7893 1
Ni1 Ni 0.0000 0.0000 0.5000 1
Ni2 Ni 0.0000 0.5000 0.0000 1
Ni3 Ni 0.0000 0.5000 0.5000 1
Ni4 Ni 0.1648 0.3295 0.3326 1
Ni5 Ni 0.3333 0.6667 0.1669 1
O1 O 0.0000 0.0000 0.2508 1
O2 O 0.0059 0.5029 0.2517 1
O3 O 0.1500 0.2999 0.5750 1
O4 O 0.1696 0.3392 0.0824 1
O5 O 0.3333 0.6667 0.4161 1
O6 O 0.3333 0.6667 0.9170 1
```

Properties
ΔH_f (0 K): -1852 meV per atom
Mass density: 5.43 g/cm3


The following is a DFT calculation (PBE with a Hubbard U) of LiMnPH2O5 after structural relaxation.

The structure in CIF format:
```
data_LiMnPH2O5
_symmetry_space_group_name_H-M 'P m n 21'
_symmetry_Int_Tables_number 31
_cell_length_a 5.6530
_cell_length_b 8.3567
_cell_length_c 4.8552
_cell_angle_alpha 90.00
_cell_angle_beta 90.00
_cell_angle_gamma 90.00
loop_
_symmetry_equiv_pos_as_xyz
'x,y,z'
'-x+1/2,-y,z+1/2'
'-x,y,z'
'x+1/2,-y,z+1/2'
loop_
_atom_site_label
_atom_site_type_symbol
_atom_site_fract_x
_atom_site_fract_y
_atom_site_fract_z
_atom_site_occupancy
Li1 Li 0.0000 0.0673 0.0000 1
Mn1 Mn 0.0000 0.4804 0.1378 1
P1 P 0.0000 0.7229 0.7080 1
H1 H 0.1383 0.2862 0.6795 1
O1 O 0.0000 0.2736 0.8044 1
O2 O 0.0000 0.6829 0.3997 1
O3 O 0.0000 0.9037 0.7538 1
O4 O 0.2201 0.6409 0.8528 1
```

Properties
ΔE to the lowest computed polymorph: 0.65 eV per formula unit
ΔH_f (0 K): -2142 meV per atom
Mass density: 2.53 g/cm3


The following is a DFT calculation (PBE with a Hubbard U) of BaLa2TiCr2O9 after structural relaxation.

The structure in CIF format:
```
data_BaLa2TiCr2O9
_symmetry_space_group_name_H-M 'C m m m'
_symmetry_Int_Tables_number 65
_symmetry_space_group_name_Hall '-C 2 2'
_cell_length_a 5.6252
_cell_length_b 50.2392
_cell_length_c 3.9682
_cell_angle_alpha 90.00
_cell_angle_beta 90.00
_cell_angle_gamma 90.00
loop_
_atom_site_label
_atom_site_type_symbol
_atom_site_fract_x
_atom_site_fract_y
_atom_site_fract_z
_atom_site_occupancy
Ba1 Ba 0.0000 0.0000 0.0000 1
Ba2 Ba 0.0000 0.4429 0.0000 1
La1 La 0.0000 0.1134 0.0000 1
La2 La 0.0000 0.2226 0.0000 1
La3 La 0.0000 0.3334 0.0000 1
Ti1 Ti 0.0000 0.0572 0.5000 1
Ti2 Ti 0.0000 0.5000 0.5000 1
Cr1 Cr 0.0000 0.1675 0.5000 1
Cr2 Cr 0.0000 0.2776 0.5000 1
Cr3 Cr 0.0000 0.3878 0.5000 1
O1 O 0.0000 0.0585 0.0000 1
O2 O 0.0000 0.1667 0.0000 1
O3 O 0.0000 0.2772 0.0000 1
O4 O 0.0000 0.3850 0.0000 1
O5 O 0.0000 0.5000 0.0000 1
O6 O 0.2359 0.0855 0.5000 1
O7 O 0.2492 0.1949 0.5000 1
O8 O 0.2504 0.0285 0.5000 1
O9 O 0.2499 0.1398 0.5000 1
O10 O 0.2500 0.2500 0.5000 1
```

Properties
ΔE to the lowest computed polymorph: 2.85 eV per formula unit
ΔH_f (0 K): -3068 meV per atom
Mass density: 6.32 g/cm3


The following is a DFT calculation (PBE with a Hubbard U) of ZnNiMoP2O9 after structural relaxation.

The structure in CIF format:
```
data_ZnNiMoP2O9
_symmetry_space_group_name_H-M 'P n m a'
_symmetry_Int_Tables_number 62
_cell_length_a 14.3420
_cell_length_b 6.4382
_cell_length_c 7.6164
_cell_angle_alpha 90.00
_cell_angle_beta 90.00
_cell_angle_gamma 90.00
loop_
_symmetry_equiv_pos_as_xyz
'x,y,z'
'-x,-y,-z'
'-x+1/2,-y,z+1/2'
'x+1/2,y,-z+1/2'
'x+1/2,-y+1/2,-z+1/2'
'-x+1/2,y+1/2,z+1/2'
'-x,y+1/2,-z'
'x,-y+1/2,z'
loop_
_atom_site_label
_atom_site_type_symbol
_atom_site_fract_x
_atom_site_fract_y
_atom_site_fract_z
_atom_site_occupancy
Zn1 Zn 0.2195 0.2500 0.0605 1
Ni1 Ni 0.0000 0.0000 0.0000 1
Mo1 Mo 0.1152 0.2500 0.6437 1
P1 P 0.0725 0.7500 0.6533 1
P2 P 0.1923 0.7500 0.1232 1
O1 O 0.0047 0.2500 0.4863 1
O2 O 0.0276 0.7500 0.8357 1
O3 O 0.0563 0.2500 0.8690 1
O4 O 0.1378 0.5418 0.1151 1
O5 O 0.1413 0.5670 0.6271 1
O6 O 0.2317 0.2500 0.4772 1
O7 O 0.2443 0.2500 0.7957 1
```

Properties
ΔH_f (0 K): -2195 meV per atom
Mass density: 4.02 g/cm3


The following is a DFT calculation (PBE with a Hubbard U) of LaCoAsO after structural relaxation.

The structure in CIF format:
```
data_LaCoAsO
_symmetry_space_group_name_H-M 'P 4/n m m'
_symmetry_Int_Tables_number 129
_cell_length_a 4.1052
_cell_length_b 4.1052
_cell_length_c 8.2404
_cell_angle_alpha 90.00
_cell_angle_beta 90.00
_cell_angle_gamma 90.00
loop_
_symmetry_equiv_pos_as_xyz
'x,y,z'
'-x,-y,-z'
'-y+1/2,x,z'
'y+1/2,-x,-z'
'-x+1/2,-y+1/2,z'
'x+1/2,y+1/2,-z'
'y,-x+1/2,z'
'-y,x+1/2,-z'
'x+1/2,-y,-z'
'-x+1/2,y,z'
'-y,-x,-z'
'y,x,z'
'-x,y+1/2,-z'
'x,-y+1/2,z'
'y+1/2,x+1/2,-z'
'-y+1/2,-x+1/2,z'
loop_
_atom_site_label
_atom_site_type_symbol
_atom_site_fract_x
_atom_site_fract_y
_atom_site_fract_z
_atom_site_occupancy
La1 La 0.2500 0.2500 0.1474 1
Co1 Co 0.2500 0.7500 0.5000 1
As1 As 0.2500 0.2500 0.6308 1
O1 O 0.2500 0.7500 0.0000 1
```

Properties
ΔH_f (0 K): -1740 meV per atom
Mass density: 6.91 g/cm3


Number 1: VASP energy -185.52 eV per cell. Number 2: VASP energy -26.64 eV per cell. Number 3: VASP energy -226.96 eV per cell. Number 4: VASP energy -645.52 eV per cell. Number 5: VASP energy -109.44 eV per cell. Number 6: VASP energy -149.98 eV per cell. Number 7: VASP energy -262.05 eV per cell. Number 8: VASP energy -128.65 eV per cell. Number 9: VASP energy -716.14 eV per cell. Number 10: VASP energy -368.19 eV per cell. Number 11: VASP energy -52.57 eV per cell.